Record 1
Entry from the Materials Project: a geometry-optimized Al4GaSb5 structure (PBE).

Unit cell a=11.6541 b=11.6541 c=11.6541 alpha=158.19 beta=38.21 gamma=149.02
Element x y z (fractional)
1 Al 0.1000 0.0000 0.1000
2 Al 0.3000 0.0000 0.3000
3 Al 0.7000 0.0000 0.7000
4 Al 0.9000 0.0000 0.9000
5 Ga 0.5000 0.0000 0.5000
6 Sb 0.1500 0.7500 0.4000
7 Sb 0.3499 0.7500 0.6000
8 Sb 0.5499 0.7499 0.8000
9 Sb 0.7500 0.7500 0.0000
10 Sb 0.9500 0.7499 0.2000

Summary:
Space-group type: Imm2 (44)
E (MP2020), eV/f.u.: -41.1
Density, g/cm³: 4.32
Uncorrected energy, Ha/atom: -0.14756
Crystal system: orthorhombic
Energy of formation from the pure elements, eV/atom: -0.25
Size of the total moment, μB per formula unit: 0.00

Record 2
Entry from the Materials Project: a geometry-optimized SmAlGa structure (PBE).

Unit cell a=4.4158 b=4.4158 c=3.8905 alpha=90.00 beta=90.00 gamma=120.00
Element x y z (fractional)
1 Sm 0.0000 0.0000 0.0000
2 Al 0.3333 0.6667 0.5000
3 Ga 0.6667 0.3333 0.5000

Summary:
Space-group type: P-6m2 (187)
Density, g/cm³: 6.24
Uncorrected energy, Ha/atom: -0.16229
Crystal system: hexagonal
Energy of formation from the pure elements, eV/atom: -0.59